Record 1
Below is ThH8C4O12 after structural relaxation, with properties calculated at the PBE-GGA level.

## Properties
VASP energy: -6.64 eV per atom
V: 10.89 Å³/atom
Energy of formation: -1734 meV per atom
Calculated density: 2.927 Mg/m³

Lattice parameters (Å, degrees): 8.0985 8.0797 10.6090 69.75 67.56 59.92
Fractional positions:
Th  0.2305  0.2500  0.7500
Th  0.7695  0.7500  0.2500
H  0.4005  0.5580  0.6185
H  0.5770  0.9420  0.8815
H  0.5995  0.4420  0.3815
H  0.4230  0.0580  0.1185
H  0.4595  0.4711  0.7617
H  0.6924  0.0289  0.7383
H  0.5405  0.5289  0.2383
H  0.3076  0.9711  0.2617
H  0.0058  0.8301  0.6566
H  0.4925  0.6699  0.8434
H  0.9942  0.1699  0.3434
H  0.5075  0.3301  0.1566
H  0.9868  0.0470  0.6246
H  0.6584  0.4530  0.8754
H  0.0132  0.9530  0.3754
H  0.3416  0.5470  0.1246
C  0.5384  0.0786  0.4571
C  0.0741  0.4214  0.0429
C  0.4616  0.9214  0.5429
C  0.9259  0.5786  0.9571
C  0.0283  0.5827  0.4890
C  0.1000  0.9173  0.0110
C  0.9717  0.4173  0.5110
C  0.9000  0.0827  0.9890
O  0.1303  0.5591  0.5639
O  0.2533  0.9409  0.9361
O  0.8697  0.4409  0.4361
O  0.7467  0.0591  0.0639
O  0.3963  0.4569  0.7020
O  0.5552  0.0431  0.7980
O  0.6037  0.5431  0.2980
O  0.4448  0.9569  0.2020
O  0.4820  0.2188  0.5147
O  0.2156  0.2812  0.9853
O  0.5180  0.7812  0.4853
O  0.7844  0.7188  0.0147
O  0.0352  0.2685  0.6029
O  0.9066  0.2315  0.8971
O  0.9648  0.7315  0.3971
O  0.0934  0.7685  0.1029
O  0.3497  0.9442  0.6629
O  0.9568  0.5558  0.8371
O  0.6503  0.0558  0.3371
O  0.0432  0.4442  0.1629
O  0.9157  0.9640  0.6678
O  0.5475  0.5360  0.8322
O  0.0843  0.0360  0.3322
O  0.4525  0.4640  0.1678



Record 2
Below is ThUH8C8O20 after structural relaxation, with properties calculated at the PBE-GGA level.

## Properties
VASP energy: -7.21 eV per atom
V: 12.00 Å³/atom
Energy of formation: -1818 meV per atom
Calculated density: 3.257 Mg/m³

Lattice parameters (Å, degrees): 6.9782 6.9782 9.6120 90.00 90.00 103.07
Fractional positions:
Th  0.0000  0.0000  0.0000
U  0.5000  0.5000  0.5000
H  0.8614  0.2900  0.4527
H  0.1386  0.7100  0.4527
H  0.2900  0.8614  0.5473
H  0.7100  0.1386  0.5473
H  0.6368  0.2111  0.0471
H  0.3632  0.7889  0.0471
H  0.2111  0.6368  0.9529
H  0.7889  0.3632  0.9529
C  0.6529  0.7646  0.2187
C  0.3471  0.2354  0.2187
C  0.7646  0.6529  0.7813
C  0.2354  0.3471  0.7813
C  0.8439  0.7328  0.2838
C  0.1561  0.2672  0.2838
C  0.7328  0.8439  0.7162
C  0.2672  0.1561  0.7162
O  0.8267  0.6382  0.3982
O  0.1733  0.3618  0.3982
O  0.6382  0.8267  0.6018
O  0.3618  0.1733  0.6018
O  0.6660  0.8571  0.1037
O  0.3340  0.1429  0.1037
O  0.8571  0.6660  0.8963
O  0.1429  0.3340  0.8963
O  0.7341  0.2659  0.5000
O  0.2659  0.7341  0.5000
O  0.7646  0.2354  0.0000
O  0.2354  0.7646  0.0000
O  0.4967  0.6949  0.2847
O  0.5033  0.3051  0.2847
O  0.6949  0.4967  0.7153
O  0.3051  0.5033  0.7153
O  0.0018  0.8022  0.2201
O  0.9982  0.1978  0.2201
O  0.8022  0.0018  0.7799
O  0.1978  0.9982  0.7799



Q: Look up the calculated density of the first one.
A: 2.927 Mg/m³